Entry 1:
CsP2Ru2 | the Materials Project database | GGA-PBE | relaxed; E_tot = -6.681 eV per atom; SG = I4/mmm, No. 139; V = 116 Å³/f.u.; ρ = 5.66 g cm⁻³
1.0
-2.041 2.041 6.990
2.041 -2.041 6.990
2.041 2.041 -6.990
Cs P Ru
1 2 2
direct
0.000 0.000 0.000
0.329 0.329 0.000
0.671 0.671 0.000
0.250 0.750 0.500
0.750 0.250 0.500



Entry 2:
MgCu10P6O26 | the Materials Project database | GGA-PBE | relaxed; SG = P1, No. 1; total moment = 0.039 μB per atom; E (MP2020) = -6.549 eV/atom; V = 530 Å³/f.u.; ρ = 3.95 g cm⁻³; polymorph energy (0 for the lowest one) = 0.030 eV/atom
1.0
6.244 0.000 0.000
0.039 8.202 0.000
0.018 0.459 10.351
Mg Cu P O
1 10 6 26
direct
0.000 0.000 0.000
0.002 0.530 0.997
0.235 0.530 0.713
0.253 0.792 0.193
0.477 0.899 0.487
0.485 0.114 0.094
0.493 0.828 0.885
0.717 0.793 0.187
0.718 0.531 0.718
0.974 0.244 0.764
0.978 0.458 0.407
0.476 0.167 0.730
0.477 0.535 0.450
0.482 0.518 0.050
0.977 0.821 0.799
0.978 0.819 0.434
0.983 0.198 0.172
0.174 0.922 0.461
0.179 0.073 0.150
0.182 0.763 0.733
0.269 0.574 0.118
0.276 0.288 0.733
0.281 0.434 0.419
0.471 0.059 0.858
0.476 0.708 0.377
0.477 0.573 0.601
0.478 0.069 0.611
0.482 0.334 0.039
0.482 0.879 0.090
0.484 0.597 0.909
0.673 0.286 0.735
0.676 0.434 0.419
0.685 0.573 0.124
0.761 0.769 0.742
0.779 0.921 0.458
0.794 0.070 0.143
0.977 0.269 0.301
0.977 0.648 0.508
0.980 0.477 0.806
0.981 0.010 0.810
0.982 0.775 0.283
0.984 0.304 0.044
0.985 0.768 0.950



Entry 3:
CsB6H15N3 | the Materials Project database | GGA-PBE | relaxed; SG = Pbca, No. 61; total moment = 0.001 μB per atom; E (MP2020) = -5.075 eV/atom; V = 280 Å³/f.u.; ρ = 1.51 g cm⁻³
1.0
8.150 0.000 0.000
0.000 14.489 0.000
0.000 0.000 18.982
Cs B H N
8 48 120 24
direct
0.001 0.170 0.099
0.001 0.330 0.599
0.499 0.670 0.099
0.499 0.830 0.599
0.501 0.170 0.401
0.501 0.330 0.901
0.999 0.670 0.401
0.999 0.830 0.901
0.043 0.561 0.926
0.043 0.939 0.426
0.054 0.062 0.427
0.054 0.438 0.927
0.096 0.602 0.011
0.096 0.898 0.511
0.114 0.096 0.514
0.114 0.404 0.014
0.140 0.506 0.066
0.140 0.994 0.566
0.200 0.505 0.975
0.200 0.995 0.475
0.300 0.005 0.975
0.300 0.495 0.475
0.360 0.006 0.066
0.360 0.494 0.566
0.386 0.596 0.514
0.386 0.904 0.014
0.404 0.102 0.011
0.404 0.398 0.511
0.446 0.562 0.427
0.446 0.938 0.927
0.457 0.061 0.926
0.457 0.439 0.426
0.543 0.561 0.574
0.543 0.939 0.074
0.554 0.062 0.073
0.554 0.438 0.573
0.596 0.602 0.489
0.596 0.898 0.989
0.614 0.096 0.986
0.614 0.404 0.486
0.640 0.506 0.434
0.640 0.994 0.934
0.700 0.505 0.525
0.700 0.995 0.025
0.800 0.005 0.525
0.800 0.495 0.025
0.860 0.006 0.434
0.860 0.494 0.934
0.886 0.596 0.986
0.886 0.904 0.486
0.904 0.102 0.489
0.904 0.398 0.989
0.946 0.562 0.073
0.946 0.938 0.573
0.957 0.061 0.574
0.957 0.439 0.074
0.015 0.244 0.894
0.015 0.256 0.394
0.053 0.040 0.797
0.053 0.460 0.297
0.073 0.605 0.874
0.073 0.895 0.374
0.080 0.645 0.606
0.080 0.855 0.106
0.090 0.108 0.377
0.090 0.392 0.877
0.092 0.518 0.225
0.092 0.982 0.725
0.120 0.148 0.898
0.120 0.352 0.398
0.155 0.232 0.770
0.155 0.268 0.270
0.157 0.009 0.959
0.157 0.491 0.459
0.160 0.676 0.019
0.160 0.824 0.519
0.185 0.724 0.716
0.185 0.776 0.216
0.193 0.165 0.524
0.193 0.335 0.024
0.230 0.510 0.288
0.230 0.990 0.788
0.233 0.676 0.250
0.233 0.824 0.750
0.242 0.508 0.112
0.242 0.992 0.612
0.258 0.008 0.112
0.258 0.492 0.612
0.267 0.176 0.250
0.267 0.324 0.750
0.270 0.010 0.288
0.270 0.490 0.788
0.307 0.665 0.524
0.307 0.835 0.024
0.315 0.224 0.716
0.315 0.276 0.216
0.340 0.176 0.019
0.340 0.324 0.519
0.343 0.509 0.959
0.343 0.991 0.459
0.345 0.732 0.770
0.345 0.768 0.270
0.380 0.648 0.898
0.380 0.852 0.398
0.408 0.018 0.225
0.408 0.482 0.725
0.410 0.608 0.377
0.410 0.892 0.877
0.420 0.145 0.606
0.420 0.355 0.106
0.427 0.105 0.874
0.427 0.395 0.374
0.447 0.540 0.797
0.447 0.960 0.297
0.485 0.744 0.894
0.485 0.756 0.394
0.515 0.244 0.606
0.515 0.256 0.106
0.553 0.040 0.703
0.553 0.460 0.203
0.573 0.605 0.626
0.573 0.895 0.126
0.580 0.645 0.894
0.580 0.855 0.394
0.590 0.108 0.123
0.590 0.392 0.623
0.592 0.518 0.275
0.592 0.982 0.775
0.620 0.148 0.602
0.620 0.352 0.102
0.655 0.232 0.730
0.655 0.268 0.230
0.657 0.009 0.541
0.657 0.491 0.041
0.660 0.676 0.481
0.660 0.824 0.981
0.685 0.724 0.784
0.685 0.776 0.284
0.693 0.165 0.976
0.693 0.335 0.476
0.730 0.510 0.212
0.730 0.990 0.712
0.733 0.676 0.250
0.733 0.824 0.750
0.742 0.508 0.388
0.742 0.992 0.888
0.758 0.008 0.388
0.758 0.492 0.888
0.767 0.176 0.250
0.767 0.324 0.750
0.770 0.010 0.212
0.770 0.490 0.712
0.807 0.665 0.976
0.807 0.835 0.476
0.815 0.224 0.784
0.815 0.276 0.284
0.840 0.176 0.481
0.840 0.324 0.981
0.843 0.509 0.541
0.843 0.991 0.041
0.845 0.732 0.730
0.845 0.768 0.230
0.880 0.648 0.602
0.880 0.852 0.102
0.908 0.018 0.275
0.908 0.482 0.775
0.910 0.608 0.123
0.910 0.892 0.623
0.920 0.145 0.894
0.920 0.355 0.394
0.927 0.105 0.626
0.927 0.395 0.126
0.947 0.540 0.703
0.947 0.960 0.203
0.985 0.744 0.606
0.985 0.756 0.106
0.021 0.178 0.875
0.021 0.322 0.375
0.107 0.519 0.279
0.107 0.981 0.779
0.218 0.235 0.230
0.218 0.265 0.730
0.282 0.735 0.230
0.282 0.765 0.730
0.393 0.019 0.279
0.393 0.481 0.779
0.479 0.678 0.875
0.479 0.822 0.375
0.521 0.178 0.625
0.521 0.322 0.125
0.607 0.519 0.221
0.607 0.981 0.721
0.718 0.235 0.270
0.718 0.265 0.770
0.782 0.735 0.270
0.782 0.765 0.770
0.893 0.019 0.221
0.893 0.481 0.721
0.979 0.678 0.625
0.979 0.822 0.125



Copy entry 2 word for word.
MgCu10P6O26 | the Materials Project database | GGA-PBE | relaxed; SG = P1, No. 1; total moment = 0.039 μB per atom; E (MP2020) = -6.549 eV/atom; V = 530 Å³/f.u.; ρ = 3.95 g cm⁻³; polymorph energy (0 for the lowest one) = 0.030 eV/atom
1.0
6.244 0.000 0.000
0.039 8.202 0.000
0.018 0.459 10.351
Mg Cu P O
1 10 6 26
direct
0.000 0.000 0.000
0.002 0.530 0.997
0.235 0.530 0.713
0.253 0.792 0.193
0.477 0.899 0.487
0.485 0.114 0.094
0.493 0.828 0.885
0.717 0.793 0.187
0.718 0.531 0.718
0.974 0.244 0.764
0.978 0.458 0.407
0.476 0.167 0.730
0.477 0.535 0.450
0.482 0.518 0.050
0.977 0.821 0.799
0.978 0.819 0.434
0.983 0.198 0.172
0.174 0.922 0.461
0.179 0.073 0.150
0.182 0.763 0.733
0.269 0.574 0.118
0.276 0.288 0.733
0.281 0.434 0.419
0.471 0.059 0.858
0.476 0.708 0.377
0.477 0.573 0.601
0.478 0.069 0.611
0.482 0.334 0.039
0.482 0.879 0.090
0.484 0.597 0.909
0.673 0.286 0.735
0.676 0.434 0.419
0.685 0.573 0.124
0.761 0.769 0.742
0.779 0.921 0.458
0.794 0.070 0.143
0.977 0.269 0.301
0.977 0.648 0.508
0.980 0.477 0.806
0.981 0.010 0.810
0.982 0.775 0.283
0.984 0.304 0.044
0.985 0.768 0.950